Material: HoI3O9
Method: DFT, GGA-PBE
State: relaxed

Cell and atoms, written as POSCAR:
```
HoI3O9
1.0
-4.014 2.968 3.369
-3.815 -7.602 2.153
6.084 -7.220 13.611
O I Ho
36 12 4
direct
0.900 0.094 0.829 O
0.428 0.352 0.559 O
0.618 0.887 0.969 O
0.006 0.361 0.365 O
0.182 0.343 0.744 O
0.031 0.392 0.881 O
0.056 0.061 0.307 O
0.572 0.648 0.441 O
0.072 0.352 0.059 O
0.944 0.939 0.693 O
0.400 0.906 0.671 O
0.928 0.648 0.941 O
0.382 0.113 0.031 O
0.556 0.939 0.193 O
0.494 0.361 0.865 O
0.914 0.343 0.611 O
0.600 0.094 0.329 O
0.877 0.126 0.012 O
0.377 0.874 0.488 O
0.444 0.061 0.807 O
0.682 0.657 0.756 O
0.531 0.608 0.619 O
0.506 0.639 0.135 O
0.623 0.126 0.512 O
0.469 0.392 0.381 O
0.818 0.657 0.256 O
0.318 0.343 0.244 O
0.882 0.887 0.469 O
0.414 0.657 0.889 O
0.969 0.608 0.119 O
0.086 0.657 0.389 O
0.994 0.639 0.635 O
0.586 0.343 0.111 O
0.123 0.874 0.988 O
0.118 0.113 0.531 O
0.100 0.906 0.171 O
0.189 0.075 0.645 I
0.904 0.419 0.699 I
0.648 0.355 0.479 I
0.689 0.925 0.855 I
0.148 0.645 0.021 I
0.311 0.075 0.145 I
0.596 0.419 0.199 I
0.811 0.925 0.355 I
0.352 0.645 0.521 I
0.404 0.581 0.801 I
0.096 0.581 0.301 I
0.852 0.355 0.979 I
0.720 0.855 0.603 Ho
0.220 0.145 0.897 Ho
0.280 0.145 0.397 Ho
0.780 0.855 0.103 Ho
```

Summary:
Formation energy = -1.49 eV per atom
Space-group type = P2_1/c, No. 14